[1]
This record from the Materials Project database describes LiTiP2O7 after structural relaxation. The functional is GGA-PBE.

Unit cell a=6.860 b=8.177 c=9.650 alpha=90.00 beta=108.65 gamma=90.00
Space group P2_1/c (No. 14)
Unique sites:
Li1 0.207 0.131 0.037
Ti1 0.285 0.727 0.994
P1 0.056 0.537 0.206
P2 0.465 0.081 0.706
O1 0.066 0.677 0.104
O2 0.091 0.587 0.367
O3 0.142 0.562 0.850
O4 0.232 0.100 0.712
O5 0.391 0.584 0.633
O6 0.481 0.582 0.137
O7 0.487 0.229 0.614

Summary:
Energy relative to the elements, kJ/mol of formula units: -2993.1
E, eV/f.u.: -81.48

---

[2]
This record from the Materials Project database describes LiTi2P3O12 after structural relaxation. The functional is GGA-PBE.

Unit cell a=8.390 b=8.404 c=8.977 alpha=62.12 beta=62.19 gamma=60.13
Space group P1 (No. 1)
Unique sites:
Li1 0.000 0.000 0.000
Li2 0.427 0.335 0.004
Ti1 0.026 0.609 0.077
Ti2 0.334 0.901 0.195
Ti3 0.541 0.115 0.560
Ti4 0.829 0.411 0.694
P1 0.151 0.289 0.882
P2 0.220 0.227 0.378
P3 0.433 0.726 0.886
P4 0.649 0.506 0.385
P5 0.715 0.013 0.882
P6 0.933 0.800 0.378
O1 0.052 0.264 0.546
O2 0.140 0.787 0.333
O3 0.160 0.093 0.030
O4 0.170 0.429 0.937
O5 0.212 0.079 0.328
O6 0.213 0.416 0.219
O7 0.221 0.746 0.936
O8 0.314 0.262 0.710
O9 0.413 0.149 0.411
O10 0.461 0.747 0.034
O11 0.482 0.881 0.711
O12 0.507 0.715 0.329
O13 0.516 0.054 0.028
O14 0.567 0.521 0.867
O15 0.575 0.361 0.408
O16 0.674 0.468 0.559
O17 0.693 0.053 0.708
O18 0.786 0.994 0.406
O19 0.803 0.150 0.864
O20 0.848 0.484 0.237
O21 0.856 0.803 0.941
O22 0.890 0.636 0.548
O23 0.917 0.788 0.218
O24 0.954 0.373 0.852

Summary:
Energy relative to the elements, kJ/mol of formula units: -5221.4
E, eV/f.u.: -139.19

---

[3]
This record from the Materials Project database describes LiTiP5O15 after structural relaxation. The functional is GGA-PBE.

Unit cell a=5.251 b=9.624 c=13.136 alpha=90.00 beta=108.22 gamma=90.00
Space group Pc (No. 7)
Unique sites:
Li1 0.000 0.084 0.000
Ti1 0.958 0.492 0.578
P1 0.368 0.314 0.486
P2 0.423 0.015 0.425
P3 0.461 0.015 0.208
P4 0.547 0.320 0.164
P5 0.962 0.484 0.327
O1 0.189 0.012 0.129
O2 0.216 0.095 0.911
O3 0.224 0.366 0.563
O4 0.225 0.388 0.370
O5 0.256 0.366 0.135
O6 0.296 0.160 0.466
O7 0.431 0.085 0.316
O8 0.604 0.165 0.175
O9 0.660 0.097 0.729
O10 0.663 0.353 0.518
O11 0.688 0.378 0.086
O12 0.696 0.001 0.001
O13 0.706 0.385 0.281
O14 0.923 0.442 0.923
O15 0.998 0.439 0.731

Summary:
Energy relative to the elements, kJ/mol of formula units: -5641.5
E, eV/f.u.: -159.26

---

[4]
This record from the Materials Project database describes LiTi2P3O12 after structural relaxation. The functional is GGA-PBE.

Unit cell a=8.446 b=8.455 c=8.935 alpha=117.96 beta=90.18 gamma=119.63
Space group P-1 (No. 2)
Unique sites:
Li1 0.076 0.390 0.141
Ti1 0.149 0.284 0.432
Ti2 0.363 0.716 0.063
P1 0.031 0.781 0.244
P2 0.246 0.776 0.748
P3 0.466 0.502 0.252
O1 0.020 0.224 0.592
O2 0.090 0.810 0.715
O3 0.105 0.005 0.277
O4 0.146 0.388 0.925
O5 0.186 0.730 0.212
O6 0.211 0.728 0.899
O7 0.226 0.587 0.579
O8 0.263 0.371 0.261
O9 0.384 0.367 0.568
O10 0.448 0.983 0.811
O11 0.472 0.659 0.204
O12 0.496 0.655 0.894

Summary:
Energy relative to the elements, kJ/mol of formula units: -5232.8
E, eV/f.u.: -139.31

---

[5]
This record from the Materials Project database describes LiTiP2O7 after structural relaxation. The functional is GGA-PBE.

Unit cell a=7.075 b=8.356 c=9.122 alpha=90.00 beta=114.61 gamma=90.00
Space group P2_1/c (No. 14)
Unique sites:
Li1 0.207 0.053 0.334
Ti1 0.264 0.072 0.889
P1 0.036 0.730 0.967
P2 0.441 0.738 0.256
O1 0.023 0.097 0.658
O2 0.079 0.607 0.404
O3 0.119 0.248 0.456
O4 0.248 0.665 0.104
O5 0.385 0.248 0.304
O6 0.385 0.610 0.814
O7 0.487 0.597 0.382

Summary:
Energy relative to the elements, kJ/mol of formula units: -2997.9
E, eV/f.u.: -81.53

---

[6]
This record from the Materials Project database describes LiTiP2O7 after structural relaxation. The functional is GGA-PBE.

Unit cell a=6.401 b=6.522 c=6.836 alpha=82.79 beta=66.81 gamma=80.38
Space group P-1 (No. 2)
Unique sites:
Li1 0.192 0.082 0.343
Ti1 0.407 0.349 0.720
P1 0.149 0.604 0.153
P2 0.282 0.865 0.733
O1 0.102 0.396 0.694
O2 0.110 0.956 0.636
O3 0.136 0.783 0.972
O4 0.253 0.396 0.049
O5 0.292 0.676 0.259
O6 0.433 0.019 0.745
O7 0.438 0.668 0.620

Summary:
Energy relative to the elements, kJ/mol of formula units: -3008.1
E, eV/f.u.: -81.63

---

[7]
This record from the Materials Project database describes LiTi2P3O12 after structural relaxation. The functional is GGA-PBE.

Unit cell a=8.331 b=8.382 c=9.000 alpha=90.23 beta=117.54 gamma=119.48
Space group P1 (No. 1)
Unique sites:
Li1 0.000 0.000 0.000
Li2 0.165 0.954 0.338
Ti1 0.256 0.386 0.348
Ti2 0.268 0.879 0.859
Ti3 0.659 0.572 0.973
Ti4 0.690 0.093 0.492
P1 0.183 0.480 0.669
P2 0.186 0.704 0.165
P3 0.464 0.261 0.168
P4 0.479 0.205 0.675
P5 0.750 0.978 0.164
P6 0.752 0.763 0.668
O1 0.134 0.508 0.197
O2 0.173 0.439 0.497
O3 0.232 0.721 0.018
O4 0.244 0.687 0.717
O5 0.278 0.067 0.019
O6 0.326 0.059 0.729
O7 0.329 0.216 0.495
O8 0.344 0.340 0.197
O9 0.354 0.457 0.819
O10 0.377 0.867 0.339
O11 0.549 0.597 0.500
O12 0.586 0.010 0.016
O13 0.595 0.125 0.643
O14 0.599 0.234 0.339
O15 0.618 0.404 0.113
O16 0.649 0.402 0.817
O17 0.686 0.769 0.115
O18 0.719 0.757 0.825
O19 0.768 0.024 0.338
O20 0.796 0.956 0.635
O21 0.954 0.759 0.718
O22 0.961 0.334 0.642
O23 0.980 0.107 0.188
O24 0.995 0.728 0.122

Summary:
Energy relative to the elements, kJ/mol of formula units: -5197.2
E, eV/f.u.: -138.94

---

[8]
This record from the Materials Project database describes LiTi2P3O12 after structural relaxation. The functional is GGA-PBE.

Unit cell a=8.654 b=12.030 c=8.705 alpha=90.00 beta=90.00 gamma=90.00
Space group Pca2_1 (No. 29)
Unique sites:
Li1 0.036 0.070 0.000
Ti1 0.000 0.373 0.259
Ti2 0.004 0.861 0.182
P1 0.145 0.105 0.329
P2 0.146 0.397 0.614
P3 0.211 0.747 0.473
O1 0.071 0.478 0.729
O2 0.075 0.023 0.210
O3 0.088 0.277 0.654
O4 0.091 0.070 0.493
O5 0.092 0.222 0.289
O6 0.098 0.422 0.448
O7 0.103 0.827 0.381
O8 0.107 0.677 0.575
O9 0.176 0.094 0.824
O10 0.178 0.403 0.130
O11 0.186 0.825 0.074
O12 0.188 0.676 0.870

Summary:
Energy relative to the elements, kJ/mol of formula units: -5232.6
E, eV/f.u.: -139.30

---

[9]
This record from the Materials Project database describes LiTiPO5 after structural relaxation. The functional is GGA-PBE.

Unit cell a=6.985 b=7.274 c=7.975 alpha=90.44 beta=91.40 gamma=117.13
Space group P-1 (No. 2)
Unique sites:
Li1 0.193 0.185 0.067
Li2 0.291 0.706 0.433
Ti1 0.252 0.979 0.736
Ti2 0.254 0.481 0.763
P1 0.234 0.759 0.093
P2 0.268 0.249 0.407
O1 0.054 0.093 0.319
O2 0.074 0.649 0.234
O3 0.152 0.886 0.979
O4 0.233 0.743 0.667
O5 0.240 0.416 0.511
O6 0.265 0.259 0.830
O7 0.268 0.599 0.986
O8 0.357 0.133 0.523
O9 0.420 0.348 0.260
O10 0.445 0.908 0.186

Summary:
Energy relative to the elements, kJ/mol of formula units: -2341.2
E, eV/f.u.: -60.79

---

no.,offset from the most stable computed form (meV per atom)
1,42.9
2,12.1
3,51.5
4,5.5
5,38.4
6,28.8
7,26.1
8,5.7
9,13.4